#P
CuH14C4N4O8, relaxed, DFT GGA-PBE; SG = P2_1/c
1.0
9.612 0.000 0.000
0.000 8.035 0.000
-0.559 0.000 8.851
Cu H C N O
2 28 8 8 16
Cartesian
0.000 0.000 0.000
-0.280 4.018 4.426
0.430 1.297 2.787
0.150 2.720 7.212
1.285 0.043 3.967
1.006 3.975 8.393
1.881 5.263 8.259
2.160 6.790 3.833
2.731 1.630 0.339
2.451 2.388 4.764
3.267 0.356 1.053
2.987 3.661 5.479
3.115 0.188 7.856
3.395 3.830 3.431
4.316 0.477 5.264
4.596 3.541 0.838
4.457 4.494 8.013
4.737 7.558 3.588
5.658 4.206 5.421
5.938 7.847 0.995
6.066 4.374 3.372
5.786 7.679 7.798
6.602 5.647 4.087
6.322 6.406 8.513
6.893 1.245 5.018
7.172 2.772 0.592
8.047 4.060 0.458
7.768 7.992 4.884
8.903 5.315 1.639
8.623 6.738 6.065
-0.099 6.005 2.244
-0.378 6.048 6.670
3.525 0.136 5.940
3.804 3.882 1.514
5.249 4.153 7.337
5.528 7.899 2.911
9.431 1.988 2.182
9.152 2.030 6.607
1.970 4.281 8.553
2.249 7.772 4.127
2.660 4.316 1.150
2.381 7.737 5.576
6.672 0.299 3.275
6.393 3.719 7.701
6.804 0.263 4.724
7.083 3.754 0.299
0.181 5.672 3.444
-0.099 6.381 7.869
0.012 4.946 6.178
0.292 7.106 1.752
2.690 0.654 0.314
2.410 3.363 4.740
3.904 0.215 7.227
4.183 3.803 2.802
4.870 4.232 6.049
5.149 7.820 1.624
6.643 4.672 4.111
6.363 7.381 8.537
8.761 0.929 7.099
9.041 3.089 2.673
9.152 1.654 0.982
8.872 2.364 5.408

#Q
CuH14C4N4O8, relaxed, DFT GGA-PBE; SG = P2_1/c
1.0
7.361 0.000 0.000
0.000 9.990 0.000
-1.203 0.000 9.478
Cu H C N O
2 28 8 8 16
Cartesian
0.000 0.000 0.000
-0.602 4.995 4.739
0.022 1.544 2.872
-0.579 3.451 7.611
0.283 5.286 8.408
0.885 9.700 3.669
0.360 7.395 8.766
0.962 7.591 4.027
1.815 1.744 0.130
1.213 3.251 4.869
2.392 0.525 0.989
1.791 4.470 5.728
1.732 0.042 8.135
2.333 4.953 3.396
2.742 1.318 6.141
3.344 3.677 1.402
2.813 6.313 8.076
3.415 8.672 3.337
3.824 5.038 6.082
4.426 9.948 1.343
4.367 5.521 3.750
3.765 9.465 8.489
4.944 6.739 4.609
4.342 8.247 9.348
5.195 2.400 5.452
5.797 2.595 0.712
5.272 0.291 5.810
5.874 4.705 1.071
6.737 6.539 1.867
6.135 8.447 6.606
-0.064 7.328 2.400
-0.665 7.658 7.139
2.339 0.311 6.294
2.941 4.685 1.555
3.216 5.306 7.924
3.818 9.680 3.184
6.823 2.333 2.339
6.221 2.663 7.078
1.363 0.381 4.287
0.761 4.614 9.026
2.204 5.300 0.676
1.602 9.686 5.415
4.555 0.305 4.063
3.953 4.690 8.802
5.396 5.376 0.452
4.794 9.609 5.192
-0.603 6.492 6.772
-0.001 8.493 2.033
0.518 6.863 3.526
-0.083 8.123 8.265
1.813 0.767 0.194
1.211 4.228 4.934
3.091 5.229 2.826
2.490 9.757 7.566
3.668 0.234 1.913
3.066 4.761 6.652
4.946 5.762 4.545
4.344 9.223 9.284
6.241 1.868 1.213
5.639 3.127 5.952
6.158 1.497 7.445
6.760 3.498 2.706

#P (9.9 kJ/mol of atoms below the next structure)

#P
Cu2H10C6S3N4, relaxed, DFT GGA-PBE; SG = P2_1/c
1.0
5.828 0.000 0.000
0.000 30.599 0.000
-2.935 0.000 7.051
Cu H C S N
8 40 24 12 16
Cartesian
-0.788 1.231 2.938
-2.256 14.068 6.463
1.832 21.841 0.082
0.365 24.058 3.608
2.528 6.542 3.443
1.060 8.758 6.968
5.149 16.531 0.587
3.681 29.368 4.113
-0.156 5.643 0.861
-1.624 9.657 4.387
-1.429 16.928 3.958
0.038 28.971 0.432
-1.834 4.198 5.545
-0.366 11.102 2.019
0.338 3.344 1.224
-1.130 11.956 4.750
0.164 19.936 2.538
-1.304 25.963 6.063
-0.423 20.488 4.155
1.044 25.411 0.630
0.083 17.575 3.267
-1.385 28.324 6.793
-0.464 18.125 4.897
1.003 27.773 1.372
-0.984 2.989 6.560
0.483 12.311 3.034
1.872 4.721 0.028
0.404 10.578 3.554
2.488 20.021 3.497
1.021 25.878 7.022
2.410 18.288 4.016
3.877 27.611 0.491
1.889 2.826 5.679
3.357 12.474 2.153
4.278 2.275 0.258
2.810 13.025 3.784
1.848 5.188 6.421
3.316 10.112 2.895
4.197 4.636 0.987
2.729 10.663 4.513
4.023 18.643 2.301
2.555 27.256 5.827
3.259 19.497 5.032
4.727 26.402 1.506
2.854 1.628 6.618
4.322 13.672 3.093
4.517 20.942 2.664
3.049 24.957 6.189
-0.714 20.164 3.149
-2.182 25.735 6.674
-0.781 17.807 3.898
0.686 28.092 0.372
-1.586 3.904 6.570
-0.119 11.396 3.045
-0.432 7.236 4.279
1.036 8.063 0.753
1.411 18.758 0.428
-0.056 27.141 3.954
1.969 0.326 2.007
0.502 14.973 5.532
2.391 15.626 1.519
0.923 30.273 5.044
2.949 3.458 3.097
1.481 11.842 6.623
1.857 22.536 6.297
3.324 23.363 2.772
3.011 19.204 4.006
4.479 26.695 0.481
2.206 2.507 6.679
3.674 12.792 3.153
5.075 4.865 0.376
3.607 10.435 3.902
-0.551 0.385 5.186
0.916 14.915 1.661
1.843 22.767 2.378
0.375 23.132 5.903
2.733 19.725 0.274
1.265 26.174 3.800
1.628 4.425 3.251
0.160 10.874 6.776
2.518 7.468 1.147
1.050 7.832 4.673
1.977 15.684 5.390
3.444 30.214 1.865
-1.504 6.828 3.992
-0.036 8.471 0.467
0.079 3.628 0.258
-1.389 11.672 3.783
0.468 18.046 0.520
-1.000 27.852 4.045
0.904 0.831 2.130
-0.564 14.469 5.655
3.456 16.131 1.396
1.989 29.768 4.921
3.892 2.747 3.005
2.425 12.553 6.531
4.281 18.927 3.268
2.814 26.972 6.793
2.929 22.128 6.584
4.397 23.771 3.058

#Q
Cu2H10C6S3N4, relaxed, DFT GGA-PBE; SG = P2_1
1.0
5.799 0.000 0.000
0.000 30.635 0.000
-2.893 0.000 7.068
Cu H C S N
8 40 24 12 16
Cartesian
-0.065 0.000 1.206
-1.494 17.781 4.713
-0.377 9.997 5.387
1.094 7.776 1.865
1.812 23.093 5.203
3.282 25.314 1.681
4.399 2.463 2.356
2.971 15.318 5.863
-0.018 11.291 0.359
-1.396 6.438 3.887
-0.539 14.954 1.890
-1.949 2.789 5.457
-0.409 10.863 2.033
-1.850 6.867 5.588
0.370 20.744 0.264
-1.080 27.645 3.795
-1.856 28.529 6.502
-0.407 19.866 2.993
-1.443 3.882 6.755
0.014 13.850 3.216
-0.485 3.683 5.246
0.979 14.034 1.730
-0.263 28.897 4.781
1.020 11.833 1.702
1.204 19.505 1.269
-0.404 5.874 5.264
1.133 21.246 1.807
-0.297 27.162 5.327
3.202 11.844 1.741
1.772 5.929 5.261
3.309 21.191 1.804
1.701 4.187 5.799
1.885 27.151 5.366
3.168 13.579 2.287
1.926 29.351 5.338
3.390 19.000 1.822
2.892 29.167 3.852
4.348 19.200 0.313
3.312 4.548 4.076
4.761 13.212 0.567
2.535 5.426 6.804
3.985 12.328 3.274
4.755 22.185 1.480
3.314 26.181 5.035
4.854 18.106 1.611
3.444 30.271 5.178
4.301 21.756 3.181
2.924 26.608 6.709
-0.003 11.621 1.398
-1.418 6.100 4.942
-1.456 3.735 5.689
-0.016 14.006 2.176
-0.812 27.949 4.809
0.624 20.420 1.304
0.296 24.606 2.503
-1.141 23.783 6.042
-0.762 13.080 5.718
0.683 4.686 2.215
1.224 16.862 3.754
2.716 0.877 0.195
0.189 16.195 6.873
1.681 1.545 3.314
2.222 20.004 4.853
3.667 28.398 1.351
4.046 8.465 1.026
2.609 9.288 4.565
2.281 5.102 5.764
3.717 12.631 2.259
2.921 29.324 4.892
4.362 19.053 1.379
4.323 21.417 2.127
2.908 26.938 5.670
0.185 0.824 3.428
-1.274 16.932 6.994
0.548 12.110 5.529
2.009 5.657 2.034
2.574 9.078 0.652
1.130 8.678 4.188
1.775 23.995 2.880
0.896 20.975 5.034
0.331 24.395 6.416
2.357 27.428 1.539
4.179 1.614 0.074
2.720 16.142 3.640
-0.758 25.046 2.201
-2.102 28.221 5.540
-0.655 20.155 2.026
-2.179 23.324 5.784
-0.236 3.959 2.301
-1.678 13.809 5.868
1.634 0.369 0.377
0.214 17.434 3.905
2.691 2.117 3.163
1.272 15.687 6.691
4.583 29.126 1.200
3.141 19.277 4.767
5.084 8.006 1.284
3.560 4.838 5.042
5.008 12.903 1.528
3.663 9.729 4.867

#P (1.2 kJ/mol of atoms below the next structure)

#P
CuH2C2O4, relaxed, DFT GGA-PBE; SG = P2_1/c
1.0
6.327 0.000 0.000
0.000 7.982 0.000
-1.583 0.000 7.943
Cu H C O
2 4 4 8
Cartesian
0.000 0.000 0.000
-0.792 3.991 3.972
-0.614 1.499 5.563
0.177 2.492 1.592
4.566 5.490 6.352
5.358 6.483 2.380
-0.214 5.845 1.891
-1.005 6.129 5.863
5.749 1.854 2.080
4.957 2.138 6.052
0.036 4.688 2.353
-0.755 7.285 6.325
-0.398 5.691 4.833
0.393 6.282 0.861
4.350 1.700 7.082
5.142 2.291 3.111
5.499 0.697 1.618
4.707 3.294 5.590

#Q
CuH2C2O4, relaxed, DFT GGA-PBE; SG = Pbca
1.0
6.393 0.000 0.000
0.000 14.007 0.000
0.000 0.000 9.637
Cu H C O
8 16 16 32
Cartesian
1.270 1.448 1.383
1.270 5.556 6.202
1.927 8.451 1.383
1.927 12.560 6.202
4.466 1.448 3.436
4.466 5.556 8.254
5.123 8.451 3.436
5.123 12.560 8.254
0.858 10.474 3.073
0.858 10.537 7.891
1.344 1.139 7.756
1.344 5.865 2.937
1.853 8.143 7.756
1.853 12.868 2.937
2.339 3.470 3.073
2.339 3.534 7.891
4.054 10.474 1.746
4.054 10.537 6.564
4.540 1.139 6.700
4.540 5.865 1.881
5.050 8.143 6.700
5.050 12.868 1.881
5.535 3.470 1.746
5.535 3.534 6.564
1.187 0.203 8.329
1.187 6.801 3.511
1.249 10.229 1.168
1.249 10.782 5.986
1.947 3.225 1.168
1.947 3.778 5.986
2.009 7.207 8.329
2.009 13.804 3.511
4.384 0.203 6.126
4.384 6.801 1.308
4.446 10.229 3.651
4.446 10.782 8.469
5.144 3.225 3.651
5.144 3.778 8.469
5.206 7.207 6.126
5.206 13.804 1.308
0.630 7.789 2.863
0.630 13.223 7.681
0.681 10.120 7.005
0.681 10.891 2.187
1.266 10.281 4.868
1.266 10.730 0.050
1.536 0.141 9.528
1.536 6.863 4.710
1.661 7.145 9.528
1.661 13.867 4.710
1.930 3.277 4.868
1.930 3.726 0.050
2.516 3.116 7.005
2.516 3.887 2.187
2.566 0.785 2.863
2.566 6.219 7.681
3.827 7.789 1.956
3.827 13.223 6.774
3.877 10.120 7.450
3.877 10.891 2.632
4.463 10.281 9.587
4.463 10.730 4.769
4.732 0.141 4.928
4.732 6.863 0.109
4.858 7.145 4.928
4.858 13.867 0.109
5.127 3.277 9.587
5.127 3.726 4.769
5.712 3.116 7.450
5.712 3.887 2.632
5.763 0.785 1.956
5.763 6.219 6.774

#P (9.0 kJ/mol of atoms below the next structure)